DFT (PBE) results for an optimized crystal structure of LaBPt3.

```
LaBPt3
1.0
4.431 0.000 0.000
0.000 4.431 0.000
0.000 0.000 4.431
La B Pt
1 1 3
Cartesian
0.000 0.000 0.000 La
2.215 2.215 2.215 B
0.000 2.215 2.215 Pt
2.215 2.215 0.000 Pt
2.215 0.000 2.215 Pt
```

Values from the calculation:
Energy of formation from the pure elements = -686 meV/atom
Volume = 17.40 Å³ per atom
Magnetic moment = 0.0 μB per formula unit
ρ = 14.029 g cm⁻³
Symmetry = Pm-3m (221)